A:
A geometry-optimized BaV2P4O14 structure. Source: the Materials Project, functional PBE with a Hubbard U.

abc: 6.262 12.580 8.063
angles: 102.17 101.24 77.31
Atoms (fractional coordinates):
O 0.582 0.990 0.781
O 0.541 0.197 0.338
O 0.399 0.823 0.968
O 0.366 0.321 0.759
O 0.227 0.835 0.260
O 0.727 0.335 0.260
O 0.174 0.157 0.842
O 0.773 0.165 0.740
O 0.866 0.820 0.759
O 0.826 0.843 0.158
O 0.958 0.303 0.662
O 0.919 0.510 0.219
O 0.101 0.677 0.032
O 0.134 0.180 0.241
O 0.634 0.679 0.241
O 0.041 0.697 0.338
O 0.458 0.803 0.662
O 0.273 0.665 0.740
O 0.643 0.883 0.481
O 0.326 0.343 0.158
O 0.601 0.177 0.032
O 0.419 0.010 0.219
O 0.357 0.117 0.518
O 0.898 0.323 0.968
O 0.674 0.657 0.842
O 0.143 0.384 0.482
O 0.857 0.616 0.518
O 0.081 0.490 0.781
V 0.967 0.654 0.770
V 0.533 0.846 0.231
V 0.033 0.346 0.230
V 0.467 0.154 0.769
P 0.550 0.264 0.190
P 0.357 0.123 0.334
P 0.950 0.236 0.810
P 0.857 0.623 0.334
P 0.450 0.736 0.810
P 0.643 0.877 0.666
P 0.050 0.764 0.190
P 0.143 0.377 0.666
Ba 0.000 0.000 0.000
Ba 0.500 0.500 0.000

B:
A geometry-optimized BaV2P4O14 structure. Source: the Materials Project, functional PBE with a Hubbard U.

abc: 7.593 7.593 9.948
angles: 99.39 99.39 89.42
Atoms (fractional coordinates):
Ba 0.000 0.500 0.000
Ba 0.500 0.000 0.500
V 0.000 0.000 0.000
V 0.000 0.000 0.500
V 0.455 0.545 0.750
V 0.545 0.455 0.250
P 0.179 0.259 0.297
P 0.249 0.624 0.445
P 0.259 0.179 0.797
P 0.376 0.751 0.055
P 0.624 0.249 0.945
P 0.741 0.821 0.203
P 0.751 0.376 0.555
P 0.821 0.741 0.703
O 0.056 0.215 0.158
O 0.126 0.466 0.347
O 0.145 0.147 0.404
O 0.146 0.794 0.423
O 0.147 0.145 0.904
O 0.206 0.854 0.077
O 0.215 0.056 0.658
O 0.260 0.379 0.792
O 0.271 0.592 0.594
O 0.366 0.572 0.109
O 0.379 0.260 0.292
O 0.408 0.729 0.906
O 0.428 0.634 0.391
O 0.466 0.126 0.847
O 0.534 0.874 0.153
O 0.572 0.366 0.609
O 0.592 0.271 0.094
O 0.621 0.740 0.708
O 0.634 0.428 0.891
O 0.729 0.408 0.406
O 0.740 0.621 0.208
O 0.785 0.944 0.342
O 0.794 0.146 0.923
O 0.853 0.855 0.096
O 0.854 0.206 0.577
O 0.855 0.853 0.596
O 0.874 0.534 0.653
O 0.944 0.785 0.842

Result of the stability comparison: A is the most stable of them.

A:
A geometry-optimized BaSrPrVO6 structure. Source: the Materials Project, functional PBE with a Hubbard U.

abc: 8.441 8.446 8.462
angles: 90.00 90.00 90.00
Atoms (fractional coordinates):
Ba 0.000 0.000 0.000
Ba 0.000 0.000 0.500
Ba 0.500 0.000 0.000
Ba 0.500 0.500 0.500
Sr 0.000 0.500 0.000
Sr 0.000 0.500 0.500
Sr 0.500 0.000 0.500
Sr 0.500 0.500 0.000
Pr 0.252 0.253 0.750
Pr 0.252 0.747 0.250
Pr 0.748 0.253 0.250
Pr 0.748 0.747 0.750
V 0.249 0.254 0.252
V 0.249 0.746 0.748
V 0.751 0.254 0.748
V 0.751 0.746 0.252
O 0.025 0.230 0.273
O 0.025 0.770 0.727
O 0.219 0.475 0.288
O 0.219 0.525 0.712
O 0.221 0.282 0.025
O 0.221 0.718 0.975
O 0.270 0.027 0.227
O 0.270 0.973 0.773
O 0.286 0.222 0.474
O 0.286 0.778 0.526
O 0.472 0.286 0.217
O 0.472 0.714 0.783
O 0.528 0.286 0.783
O 0.528 0.714 0.217
O 0.714 0.222 0.526
O 0.714 0.778 0.474
O 0.730 0.027 0.773
O 0.730 0.973 0.227
O 0.779 0.282 0.975
O 0.779 0.718 0.025
O 0.781 0.475 0.712
O 0.781 0.525 0.288
O 0.975 0.230 0.727
O 0.975 0.770 0.273

B:
A geometry-optimized BaSrPrVO6 structure. Source: the Materials Project, functional PBE with a Hubbard U.

abc: 5.996 5.996 5.996
angles: 60.00 60.00 60.00
Atoms (fractional coordinates):
Ba 0.000 0.000 0.000
Sr 0.500 0.500 0.500
Pr 0.250 0.250 0.250
V 0.750 0.750 0.750
O 0.525 0.525 0.975
O 0.525 0.975 0.525
O 0.525 0.975 0.975
O 0.975 0.525 0.525
O 0.975 0.525 0.975
O 0.975 0.975 0.525

Result of the stability comparison: A is the most stable of them.

A:
A geometry-optimized Ba2SnWO6 structure. Source: the Materials Project, functional PBE with a Hubbard U.

abc: 8.715 8.715 8.715
angles: 90.00 90.00 90.00
Atoms (fractional coordinates):
Ba 0.250 0.250 0.250
Ba 0.250 0.250 0.750
Ba 0.250 0.750 0.250
Ba 0.250 0.750 0.750
Ba 0.750 0.250 0.250
Ba 0.750 0.250 0.750
Ba 0.750 0.750 0.250
Ba 0.750 0.750 0.750
Sn 0.000 0.000 0.000
Sn 0.000 0.500 0.500
Sn 0.500 0.000 0.500
Sn 0.500 0.500 0.000
W 0.000 0.000 0.500
W 0.000 0.500 0.000
W 0.500 0.000 0.000
W 0.500 0.500 0.500
O 0.026 0.529 0.778
O 0.026 0.971 0.722
O 0.029 0.222 0.526
O 0.029 0.278 0.974
O 0.222 0.526 0.029
O 0.222 0.974 0.471
O 0.278 0.526 0.471
O 0.278 0.974 0.029
O 0.471 0.222 0.974
O 0.471 0.278 0.526
O 0.474 0.529 0.722
O 0.474 0.971 0.778
O 0.526 0.029 0.222
O 0.526 0.471 0.278
O 0.529 0.722 0.474
O 0.529 0.778 0.026
O 0.722 0.026 0.971
O 0.722 0.474 0.529
O 0.778 0.026 0.529
O 0.778 0.474 0.971
O 0.971 0.722 0.026
O 0.971 0.778 0.474
O 0.974 0.029 0.278
O 0.974 0.471 0.222

B:
A geometry-optimized Ba2SnWO6 structure. Source: the Materials Project, functional PBE with a Hubbard U.

abc: 6.168 6.168 6.168
angles: 60.00 60.00 60.00
Atoms (fractional coordinates):
Ba 0.250 0.250 0.250
Ba 0.750 0.750 0.750
Sn 0.000 0.000 0.000
W 0.500 0.500 0.500
O 0.275 0.275 0.725
O 0.275 0.725 0.275
O 0.275 0.725 0.725
O 0.725 0.275 0.275
O 0.725 0.275 0.725
O 0.725 0.725 0.275

Result of the stability comparison: A is the most stable of them.

A:
A geometry-optimized BaWO4 structure. Source: the Materials Project, functional PBE with a Hubbard U.

abc: 4.197 5.903 7.841
angles: 90.00 104.75 90.00
Atoms (fractional coordinates):
Ba 0.178 0.250 0.323
Ba 0.822 0.750 0.677
W 0.353 0.250 0.823
W 0.647 0.750 0.177
O 0.081 0.750 0.163
O 0.317 0.028 0.649
O 0.317 0.472 0.649
O 0.500 0.000 0.000
O 0.500 0.500 0.000
O 0.683 0.528 0.351
O 0.683 0.972 0.351
O 0.919 0.250 0.837

B:
A geometry-optimized BaWO4 structure. Source: the Materials Project, functional PBE with a Hubbard U.

abc: 7.612 7.612 7.612
angles: 135.67 135.67 64.49
Atoms (fractional coordinates):
Ba 0.375 0.125 0.250
Ba 0.625 0.875 0.750
W 0.125 0.375 0.750
W 0.875 0.625 0.250
O 0.078 0.685 0.856
O 0.185 0.830 0.608
O 0.278 0.422 0.108
O 0.330 0.222 0.644
O 0.670 0.778 0.356
O 0.722 0.578 0.892
O 0.815 0.170 0.392
O 0.922 0.315 0.144

C:
A geometry-optimized BaWO4 structure. Source: the Materials Project, functional PBE with a Hubbard U.

abc: 6.827 6.827 6.827
angles: 106.84 106.84 114.88
Atoms (fractional coordinates):
Ba 0.375 0.625 0.750
Ba 0.625 0.375 0.250
W 0.125 0.875 0.250
W 0.875 0.125 0.750
O 0.150 0.723 0.427
O 0.203 0.277 0.927
O 0.277 0.203 0.427
O 0.277 0.850 0.073
O 0.723 0.150 0.927
O 0.723 0.797 0.573
O 0.797 0.723 0.073
O 0.850 0.277 0.573

D:
A geometry-optimized BaWO4 structure. Source: the Materials Project, functional PBE with a Hubbard U.

abc: 7.760 7.760 6.052
angles: 90.00 90.00 150.02
Atoms (fractional coordinates):
Ba 0.152 0.848 0.750
Ba 0.848 0.152 0.250
W 0.410 0.590 0.750
W 0.590 0.410 0.250
O 0.079 0.921 0.250
O 0.322 0.678 0.534
O 0.322 0.678 0.966
O 0.500 0.500 0.000
O 0.500 0.500 0.500
O 0.678 0.322 0.034
O 0.678 0.322 0.466
O 0.921 0.079 0.750

Result of the stability comparison: B is the most stable of them.